# Fe3O2F4, relaxed, DFT PBE with a Hubbard U
# E_form: -2.177 eV per atom
# Total energy: -105.1 eV/cell
# Size of the total moment: 28.00 Bohr magnetons per cell
# ΔE to the lowest computed polymorph: 20 meV/atom
data_Fe3O2F4
_symmetry_space_group_name_H-M 'P 1'
_symmetry_Int_Tables_number 1
_symmetry_space_group_name_Hall 'P 1'
_cell_length_a 5.7459
_cell_length_b 5.7459
_cell_length_c 7.5311
_cell_angle_alpha 71.75
_cell_angle_beta 71.75
_cell_angle_gamma 72.62
loop_
_atom_site_label
_atom_site_type_symbol
_atom_site_fract_x
_atom_site_fract_y
_atom_site_fract_z
O1 O 0.0230 0.6290 0.6720
O2 O 0.7703 0.7658 0.0384
O3 O 0.2342 0.2297 0.9616
O4 O 0.3710 0.9770 0.3280
Fe1 Fe 0.6441 0.6961 0.3116
Fe2 Fe 0.3250 0.3006 0.1556
Fe3 Fe 0.0124 0.9876 0.5000
Fe4 Fe 0.6994 0.6750 0.8444
Fe5 Fe 0.0106 0.9894 0.0000
Fe6 Fe 0.3039 0.3559 0.6884
F1 F 0.3287 0.6713 0.0000
F2 F 0.9680 0.3774 0.3296
F3 F 0.4370 0.4367 0.3725
F4 F 0.1121 0.1139 0.6929
F5 F 0.6882 0.3118 0.0000
F6 F 0.8861 0.8879 0.3071
F7 F 0.6226 0.0320 0.6704
F8 F 0.5633 0.5630 0.6275

***

# Fe5O4F8, relaxed, DFT PBE with a Hubbard U
# E_form: -2.165 eV per atom
# Total energy: -96.5 eV/cell
# Size of the total moment: 4.00 Bohr magnetons per cell
# ΔE to the lowest computed polymorph: 0 meV/atom
data_Fe5O4F8
_symmetry_space_group_name_H-M 'P 1'
_symmetry_Int_Tables_number 1
_symmetry_space_group_name_Hall 'P 1'
_cell_length_a 4.6764
_cell_length_b 4.6764
_cell_length_c 8.9375
_cell_angle_alpha 90.00
_cell_angle_beta 90.00
_cell_angle_gamma 93.69
loop_
_atom_site_label
_atom_site_type_symbol
_atom_site_fract_x
_atom_site_fract_y
_atom_site_fract_z
O1 O 0.3031 0.3031 0.3456
O2 O 0.6969 0.6969 0.3456
O3 O 0.6969 0.6969 0.6544
O4 O 0.3031 0.3031 0.6544
F1 F 0.6938 0.6938 0.0000
F2 F 0.2080 0.7920 0.5000
F3 F 0.7920 0.2080 0.5000
F4 F 0.7913 0.2087 0.1747
F5 F 0.2087 0.7913 0.8253
F6 F 0.3062 0.3062 0.0000
F7 F 0.7913 0.2087 0.8253
F8 F 0.2087 0.7913 0.1747
Fe1 Fe 0.0000 0.0000 0.6807
Fe2 Fe 0.5000 0.5000 0.1730
Fe3 Fe 0.0000 0.0000 0.3193
Fe4 Fe 0.5000 0.5000 0.5000
Fe5 Fe 0.5000 0.5000 0.8270

***

# Fe6O7F5, relaxed, DFT PBE with a Hubbard U
# E_form: -1.891 eV per atom
# Total energy: -108.4 eV/cell
# Size of the total moment: 29.00 Bohr magnetons per cell
# ΔE to the lowest computed polymorph: 24 meV/atom
data_Fe6O7F5
_symmetry_space_group_name_H-M 'P 1'
_symmetry_Int_Tables_number 1
_symmetry_space_group_name_Hall 'P 1'
_cell_length_a 4.6945
_cell_length_b 5.6335
_cell_length_c 7.7475
_cell_angle_alpha 85.86
_cell_angle_beta 89.57
_cell_angle_gamma 88.87
loop_
_atom_site_label
_atom_site_type_symbol
_atom_site_fract_x
_atom_site_fract_y
_atom_site_fract_z
O1 O 0.8055 0.9623 0.2346
O2 O 0.6916 0.1293 0.5638
O3 O 0.8035 0.2957 0.9068
O4 O 0.1928 0.7004 0.1006
O5 O 0.3055 0.5402 0.7593
O6 O 0.3120 0.2014 0.1140
O7 O 0.8075 0.6311 0.5524
Fe1 Fe 0.5235 0.1600 0.3354
Fe2 Fe 0.0156 0.0139 0.0171
Fe3 Fe 0.9938 0.6738 0.3240
Fe4 Fe 0.9662 0.3494 0.6771
Fe5 Fe 0.5261 0.8237 0.6633
Fe6 Fe 0.4606 0.4793 0.9855
F1 F 0.2986 0.8710 0.4367
F2 F 0.6925 0.4663 0.2299
F3 F 0.2021 0.0375 0.7690
F4 F 0.2000 0.3685 0.4313
F5 F 0.7024 0.7962 0.8992